(1)
The following is a GGA+U calculation of a relaxed structure of Rb2CoO3, from the Materials Project.

Geometry as CIF:
```
data_Rb2CoO3
_chemical_formula_sum 'Rb4 Co2 O6'
_symmetry_space_group_name_H-M 'P 1'
_symmetry_Int_Tables_number 1
_cell_length_a 6.402
_cell_length_b 6.402
_cell_length_c 5.432
_cell_angle_alpha 90.01
_cell_angle_beta 90.01
_cell_angle_gamma 109.36
loop_
_symmetry_equiv_pos_as_xyz
'x,y,z'
loop_
_atom_site_label
_atom_site_fract_x
_atom_site_fract_y
_atom_site_fract_z
Rb1 0.152 0.476 0.501
Rb2 0.160 0.840 0.000
Rb3 0.476 0.152 0.501
Rb4 0.840 0.160 0.000
Co1 0.578 0.578 0.006
Co2 0.733 0.733 0.507
O1 0.338 0.338 0.014
O2 0.539 0.777 0.752
O3 0.545 0.783 0.258
O4 0.777 0.539 0.752
O5 0.783 0.545 0.258
O6 0.976 0.976 0.515
```

Results
Crystal system: monoclinic

***

(2)
The following is a GGA+U calculation of a relaxed structure of Fe4O3F5, from the Materials Project.

Geometry as CIF:
```
data_Fe4O3F5
_chemical_formula_sum 'Fe8 O6 F10'
_symmetry_space_group_name_H-M 'P 1'
_symmetry_Int_Tables_number 1
_cell_length_a 4.808
_cell_length_b 6.212
_cell_length_c 10.053
_cell_angle_alpha 107.83
_cell_angle_beta 92.66
_cell_angle_gamma 90.14
loop_
_symmetry_equiv_pos_as_xyz
'x,y,z'
loop_
_atom_site_label
_atom_site_fract_x
_atom_site_fract_y
_atom_site_fract_z
Fe1 0.000 0.000 0.000
Fe2 0.006 0.752 0.520
Fe3 0.462 0.877 0.239
Fe4 0.469 0.367 0.235
Fe5 0.490 0.133 0.750
Fe6 0.518 0.615 0.734
Fe7 0.940 0.257 0.485
Fe8 0.984 0.503 0.991
O1 0.281 0.579 0.148
O2 0.292 0.079 0.150
O3 0.301 0.823 0.653
O4 0.668 0.171 0.338
O5 0.692 0.435 0.842
O6 0.793 0.546 0.587
F1 0.166 0.952 0.404
F2 0.171 0.455 0.395
F3 0.172 0.214 0.899
F4 0.192 0.690 0.893
F5 0.277 0.330 0.632
F6 0.680 0.680 0.348
F7 0.691 0.912 0.847
F8 0.782 0.312 0.093
F9 0.787 0.791 0.097
F10 0.804 0.048 0.590
```

Results
Crystal system: triclinic

***

(3)
The following is a GGA+U calculation of a relaxed structure of Li9Mn2Co5O16, from the Materials Project.

Geometry as CIF:
```
data_Li9Mn2Co5O16
_chemical_formula_sum 'Li9 Mn2 Co5 O16'
_symmetry_space_group_name_H-M 'P 1'
_symmetry_Int_Tables_number 1
_cell_length_a 5.906
_cell_length_b 6.445
_cell_length_c 8.607
_cell_angle_alpha 82.98
_cell_angle_beta 70.65
_cell_angle_gamma 65.93
loop_
_symmetry_equiv_pos_as_xyz
'x,y,z'
loop_
_atom_site_label
_atom_site_fract_x
_atom_site_fract_y
_atom_site_fract_z
Li1 0.000 0.000 0.000
Li2 0.000 0.500 0.493
Li3 0.003 0.753 0.743
Li4 0.008 0.249 0.249
Li5 0.252 0.000 0.493
Li6 0.493 0.245 0.251
Li7 0.499 0.996 0.001
Li8 0.502 0.751 0.745
Li9 0.505 0.502 0.494
Mn1 0.753 0.997 0.496
Mn2 0.761 0.247 0.747
Co1 0.249 0.753 0.247
Co2 0.252 0.500 0.998
Co3 0.255 0.248 0.746
Co4 0.737 0.757 0.249
Co5 0.751 0.500 0.998
O1 0.100 0.769 0.485
O2 0.101 0.033 0.749
O3 0.135 0.515 0.235
O4 0.139 0.264 0.982
O5 0.365 0.736 0.006
O6 0.370 0.982 0.245
O7 0.396 0.472 0.758
O8 0.397 0.230 0.514
O9 0.638 0.759 0.487
O10 0.639 0.261 0.986
O11 0.641 0.510 0.234
O12 0.648 0.004 0.737
O13 0.851 0.997 0.260
O14 0.861 0.241 0.511
O15 0.863 0.491 0.757
O16 0.866 0.735 0.007
```

Results
Crystal system: triclinic

***

(4)
The following is a GGA+U calculation of a relaxed structure of SrNdNiO4, from the Materials Project.

Geometry as CIF:
```
data_SrNdNiO4
_chemical_formula_sum 'Sr1 Nd1 Ni1 O4'
_symmetry_space_group_name_H-M 'P 1'
_symmetry_Int_Tables_number 1
_cell_length_a 6.759
_cell_length_b 6.759
_cell_length_c 6.759
_cell_angle_alpha 147.07
_cell_angle_beta 147.07
_cell_angle_gamma 47.27
loop_
_symmetry_equiv_pos_as_xyz
'x,y,z'
loop_
_atom_site_label
_atom_site_fract_x
_atom_site_fract_y
_atom_site_fract_z
Sr1 0.000 0.000 0.000
Nd1 0.721 0.721 0.000
Ni1 0.362 0.362 0.000
O1 0.196 0.196 0.000
O2 0.350 0.850 0.500
O3 0.531 0.531 0.000
O4 0.850 0.350 0.500
```

Results
Crystal system: tetragonal

***

(5)
The following is a GGA+U calculation of a relaxed structure of MgMn6O10F2, from the Materials Project.

Geometry as CIF:
```
data_MgMn6O10F2
_chemical_formula_sum 'Mg1 Mn6 O10 F2'
_symmetry_space_group_name_H-M 'P 1'
_symmetry_Int_Tables_number 1
_cell_length_a 4.969
_cell_length_b 5.017
_cell_length_c 8.758
_cell_angle_alpha 90.00
_cell_angle_beta 90.07
_cell_angle_gamma 99.75
loop_
_symmetry_equiv_pos_as_xyz
'x,y,z'
loop_
_atom_site_label
_atom_site_fract_x
_atom_site_fract_y
_atom_site_fract_z
Mg1 0.000 0.000 0.000
Mn1 0.040 0.508 0.670
Mn2 0.080 0.503 0.008
Mn3 0.503 0.046 0.826
Mn4 0.505 0.033 0.511
Mn5 0.506 0.045 0.183
Mn6 0.970 0.561 0.340
O1 0.151 0.775 0.166
O2 0.159 0.766 0.509
O3 0.168 0.764 0.843
O4 0.364 0.236 0.675
O5 0.366 0.224 0.005
O6 0.637 0.856 0.670
O7 0.641 0.853 0.343
O8 0.839 0.319 0.504
O9 0.873 0.289 0.165
O10 0.874 0.278 0.847
F1 0.353 0.257 0.357
F2 0.640 0.803 0.990
```

Results
Crystal system: triclinic

***

E_form across the listed records, respectively: -140.0 -206.1 -177.8 -253.7 -197.5 kJ/mol of atoms.